# 1
A plane-wave DFT calculation with PBE-GGA was carried out for crystalline TiNF5 at its relaxed geometry.

Cell and atoms, written as POSCAR:
```
TiNF5
1.0
14.864 0.000 0.000
0.000 7.459 0.000
-6.810 0.000 19.000
Ti N F
16 16 80
Cartesian
1.842 1.513 0.703 Ti
-1.564 2.216 10.203 Ti
0.130 1.672 5.513 Ti
-3.275 2.058 15.013 Ti
-1.312 1.404 18.290 Ti
2.094 2.326 8.790 Ti
0.414 1.743 13.548 Ti
3.819 1.987 4.048 Ti
4.234 5.472 14.952 Ti
7.640 5.717 5.452 Ti
5.960 5.133 10.210 Ti
9.365 6.056 0.710 Ti
11.329 5.401 3.987 Ti
7.924 5.787 13.487 Ti
9.617 5.243 8.797 Ti
6.212 5.946 18.297 Ti
-4.241 5.316 17.766 N
-0.836 5.873 8.266 N
1.347 5.065 3.195 N
-2.059 6.123 12.695 N
-0.650 5.031 15.820 N
2.756 6.158 6.321 N
4.956 5.299 1.361 N
1.551 5.890 10.861 N
6.503 1.569 8.139 N
3.098 2.161 17.639 N
5.298 1.301 12.679 N
8.703 2.429 3.179 N
10.112 1.336 6.305 N
6.707 2.394 15.805 N
8.889 1.586 10.733 N
12.294 2.143 1.234 N
-2.967 1.217 10.584 F
0.438 2.512 1.084 F
-1.145 0.613 6.141 F
-4.550 3.117 15.641 F
-5.263 1.432 17.956 F
-1.858 2.298 8.456 F
-0.095 1.169 3.822 F
-3.500 2.560 13.322 F
-3.807 0.390 15.129 F
-0.401 3.340 5.629 F
-1.837 3.888 10.678 F
1.568 7.301 1.178 F
-4.395 4.454 18.792 F
-0.989 6.734 9.292 F
-0.784 1.625 11.956 F
2.621 2.105 2.456 F
-1.936 4.880 15.430 F
1.469 6.309 5.931 F
1.002 1.521 7.287 F
-2.404 2.208 16.787 F
-1.356 1.802 14.475 F
2.049 1.928 4.975 F
3.785 1.698 0.227 F
0.380 2.032 9.727 F
2.624 4.879 3.598 F
-0.781 6.310 13.098 F
2.046 3.948 8.111 F
-1.359 7.241 17.611 F
5.369 4.453 0.399 F
1.963 6.736 9.899 F
4.184 0.270 4.020 F
0.778 3.460 13.520 F
1.640 0.941 12.544 F
5.045 2.789 3.044 F
3.431 1.372 8.136 F
0.026 2.358 17.636 F
1.026 1.064 15.067 F
4.431 2.666 5.567 F
6.249 1.117 0.872 F
2.844 2.612 10.372 F
5.209 4.847 8.628 F
1.804 6.342 18.128 F
3.623 4.793 13.432 F
7.028 6.396 3.932 F
8.028 5.101 1.364 F
4.623 6.088 10.864 F
3.008 4.671 15.956 F
6.413 6.518 6.456 F
7.275 3.999 5.480 F
3.870 7.189 14.980 F
6.090 0.724 9.101 F
2.685 3.006 18.600 F
9.413 0.218 1.389 F
6.008 3.512 10.889 F
8.834 1.149 5.901 F
5.429 2.580 15.401 F
7.674 5.427 9.273 F
4.268 5.761 18.772 F
6.005 5.531 14.025 F
9.410 5.658 4.525 F
10.457 5.251 2.213 F
7.052 5.938 11.713 F
6.585 1.151 13.069 F
9.990 2.579 3.569 F
5.432 5.354 16.544 F
8.838 5.835 7.044 F
9.043 0.725 9.707 F
12.448 3.005 0.208 F
6.486 0.158 17.822 F
9.891 3.572 8.322 F
8.455 4.119 13.370 F
11.860 7.070 3.871 F
11.554 4.899 5.678 F
8.149 6.290 15.178 F
9.912 5.161 10.544 F
13.317 6.028 1.044 F
12.603 4.343 3.358 F
9.198 6.846 12.858 F
7.616 4.947 17.915 F
11.021 6.242 8.415 F
```

Calculated values
The formation energy is -2.29 eV per atom. As for the crystal system: monoclinic.

=====

# 2
A plane-wave DFT calculation with PBE-GGA was carried out for crystalline Sc2NiB2Ir5 at its relaxed geometry.

Cell and atoms, written as POSCAR:
```
Sc2NiB2Ir5
1.0
9.349 0.000 0.000
0.000 9.349 0.000
0.000 0.000 3.071
Sc Ni B Ir
4 2 4 10
Cartesian
1.643 3.031 0.000 Sc
3.031 7.706 0.000 Sc
6.318 1.643 0.000 Sc
7.706 6.318 0.000 Sc
0.000 0.000 0.000 Ni
4.675 4.675 0.000 Ni
1.177 5.852 0.000 B
3.497 1.177 0.000 B
5.852 8.172 0.000 B
8.172 3.497 0.000 B
0.000 4.675 1.536 Ir
0.659 7.351 1.536 Ir
1.999 0.659 1.536 Ir
2.676 5.334 1.536 Ir
4.016 2.676 1.536 Ir
4.675 0.000 1.536 Ir
5.334 6.673 1.536 Ir
6.673 4.016 1.536 Ir
7.351 8.690 1.536 Ir
8.690 1.999 1.536 Ir
```

Calculated values
The formation energy is -0.69 eV per atom. As for the crystal system: tetragonal.

=====

# 3
A plane-wave DFT calculation with PBE-GGA was carried out for crystalline Na2OsO8 at its relaxed geometry.

Cell and atoms, written as POSCAR:
```
Na2OsO8
1.0
5.672 0.000 0.000
0.000 10.155 0.000
-0.424 0.000 6.344
Na Os O
4 2 16
Cartesian
1.015 0.000 1.193 Na
1.058 5.294 1.549 Na
4.190 0.216 4.795 Na
4.233 5.078 5.151 Na
1.171 2.791 5.040 Os
4.077 7.868 1.304 Os
0.183 3.571 6.314 O
0.428 2.873 3.449 O
0.521 5.378 3.827 O
0.555 1.148 5.508 O
1.894 8.923 4.146 O
2.006 4.494 4.813 O
2.093 7.772 4.556 O
2.400 7.267 1.261 O
2.848 2.190 5.083 O
3.155 2.695 1.789 O
3.242 9.571 1.531 O
3.354 3.845 2.198 O
4.693 6.226 0.836 O
4.727 0.300 2.517 O
4.820 7.951 2.895 O
5.065 8.649 0.030 O
```

Calculated values
The formation energy is -0.82 eV per atom. As for the crystal system: monoclinic.

=====

# 4
A plane-wave DFT calculation with PBE-GGA was carried out for crystalline YH3O3 at its relaxed geometry.

Cell and atoms, written as POSCAR:
```
YH3O3
1.0
6.333 0.000 0.000
0.000 3.515 0.000
-3.071 0.000 5.661
Y H O
2 6 6
Cartesian
-0.004 0.879 1.849 Y
3.266 2.636 3.811 Y
-1.186 0.879 4.909 H
1.813 2.636 0.775 H
0.145 2.636 3.933 H
3.118 0.879 1.728 H
1.449 0.879 4.886 H
4.448 2.636 0.751 H
-2.118 0.879 5.186 O
-0.640 2.636 3.359 O
1.638 2.636 1.731 O
1.624 0.879 3.930 O
3.902 0.879 2.302 O
5.380 2.636 0.475 O
```

Calculated values
The formation energy is -2.23 eV per atom. The relative energy among the computed polymorphs is 3 meV/atom. As for the crystal system: monoclinic.

=====

# 5
A plane-wave DFT calculation with PBE-GGA was carried out for crystalline SiO2 at its relaxed geometry.

Cell and atoms, written as POSCAR:
```
SiO2
1.0
4.864 0.000 0.000
0.000 8.018 0.000
-2.267 0.000 4.448
Si O
4 8
Cartesian
-0.533 0.000 1.619 Si
0.633 2.996 1.286 Si
1.964 7.005 3.162 Si
3.130 4.009 2.829 Si
-0.490 4.082 1.771 O
0.031 1.499 1.346 O
-1.170 3.359 4.209 O
0.648 7.068 2.214 O
1.949 3.059 2.235 O
3.767 7.368 0.239 O
2.566 5.508 3.103 O
3.087 0.073 2.677 O
```

Calculated values
The piezoelectric modulus e_max is 0.105 C/m2. The formation energy is -3.25 eV per atom. As for the crystal system: monoclinic.

=====

# 6
A plane-wave DFT calculation with PBE-GGA was carried out for crystalline CaNdAg2 at its relaxed geometry.

Cell and atoms, written as POSCAR:
```
CaNdAg2
1.0
0.000 3.727 3.727
3.727 0.000 3.727
3.727 3.727 0.000
Ca Nd Ag
1 1 2
Cartesian
0.000 0.000 0.000 Ca
3.727 3.727 3.727 Nd
1.864 1.864 1.864 Ag
5.591 5.591 5.591 Ag
```

Calculated values
The formation energy is -0.31 eV per atom. As for the crystal system: cubic.

=====

# 7
A plane-wave DFT calculation with PBE-GGA was carried out for crystalline DyCuS2 at its relaxed geometry.

Cell and atoms, written as POSCAR:
```
DyCuS2
1.0
3.961 0.000 0.000
0.000 6.258 0.000
0.000 0.000 13.476
Dy Cu S
4 4 8
Cartesian
0.959 1.554 4.945 Dy
1.021 4.704 11.683 Dy
2.940 1.575 8.531 Dy
3.001 4.683 1.793 Dy
0.899 5.469 7.378 Cu
1.082 0.789 0.640 Cu
2.879 3.918 6.098 Cu
3.062 2.340 12.837 Cu
0.949 3.112 7.259 S
0.962 0.080 9.502 S
1.018 6.178 2.764 S
1.031 3.146 0.521 S
2.929 0.017 6.217 S
2.943 3.049 3.974 S
2.998 3.209 10.712 S
3.011 6.241 12.956 S
```

Calculated values
The formation energy is -1.62 eV per atom. As for the crystal system: orthorhombic.

=====

# 8
A plane-wave DFT calculation with PBE-GGA was carried out for crystalline Bi8Se9 at its relaxed geometry.

Cell and atoms, written as POSCAR:
```
Bi8Se9
1.0
2.123 1.226 33.967
-2.123 1.226 33.967
0.000 -2.452 33.967
Bi Se
8 9
Cartesian
0.000 0.000 8.946 Bi
0.000 0.000 15.063 Bi
0.000 0.000 33.059 Bi
0.000 0.000 39.073 Bi
0.000 0.000 62.829 Bi
0.000 0.000 68.842 Bi
0.000 0.000 86.838 Bi
0.000 0.000 92.955 Bi
0.000 0.000 3.524 Se
0.000 0.000 20.447 Se
0.000 0.000 26.988 Se
0.000 0.000 44.438 Se
0.000 0.000 50.951 Se
0.000 0.000 57.463 Se
0.000 0.000 74.913 Se
0.000 0.000 81.455 Se
0.000 0.000 98.378 Se
```

Calculated values
The formation energy is -0.59 eV per atom. As for the crystal system: trigonal.

=====

# 9
A plane-wave DFT calculation with PBE-GGA was carried out for crystalline KTi16O32 at its relaxed geometry.

Cell and atoms, written as POSCAR:
```
KTi16O32
1.0
8.536 0.000 0.000
-2.346 8.208 0.000
-2.279 -4.717 9.000
K Ti O
1 16 32
Cartesian
0.000 0.000 0.000 K
-1.139 2.775 2.246 Ti
-0.892 -1.523 5.750 Ti
-2.164 3.839 5.492 Ti
0.346 4.284 0.030 Ti
0.439 1.564 4.472 Ti
0.699 -2.684 7.994 Ti
-0.596 2.657 7.736 Ti
1.906 3.107 2.284 Ti
2.005 0.384 6.716 Ti
4.507 0.834 1.264 Ti
3.211 6.175 1.006 Ti
3.471 1.927 4.528 Ti
3.565 -0.793 8.970 Ti
6.075 -0.348 3.508 Ti
4.803 5.014 3.250 Ti
5.050 0.716 6.754 Ti
-3.529 0.657 8.722 O
-2.016 -0.597 7.023 O
-0.811 -3.158 6.833 O
-2.309 2.257 6.747 O
-0.763 0.058 4.518 O
-2.261 5.459 4.436 O
-1.044 2.904 4.231 O
0.458 1.659 2.516 O
0.319 4.180 1.967 O
1.821 2.931 0.267 O
3.026 0.385 0.070 O
-0.736 1.076 8.985 O
0.800 -1.122 6.765 O
-0.694 4.281 6.684 O
0.516 1.725 6.479 O
2.028 0.493 4.786 O
1.883 2.998 4.214 O
3.395 1.766 2.522 O
4.605 -0.790 2.316 O
3.111 4.613 2.235 O
4.647 2.415 0.015 O
0.885 3.106 8.931 O
2.089 0.560 8.733 O
3.592 -0.689 7.034 O
3.453 1.833 6.485 O
4.955 0.587 4.770 O
6.172 -1.968 4.564 O
4.674 3.433 4.482 O
6.220 1.234 2.254 O
4.722 6.649 2.167 O
5.926 4.089 1.978 O
7.439 2.834 0.278 O
```

Calculated values
The formation energy is -3.43 eV per atom. The relative energy among the computed polymorphs is 0 meV/atom. As for the crystal system: triclinic.

=====

# 10
A plane-wave DFT calculation with PBE-GGA was carried out for crystalline Cr5Ge3 at its relaxed geometry.

Cell and atoms, written as POSCAR:
```
Cr5Ge3
1.0
-4.661 4.661 2.358
4.661 -4.661 2.358
4.661 4.661 -2.358
Cr Ge
10 6
Cartesian
7.130 0.729 0.000 Cr
0.729 2.191 0.000 Cr
4.661 0.000 1.179 Cr
5.390 2.469 0.000 Cr
2.469 3.932 0.000 Cr
2.191 0.729 2.358 Cr
-0.729 2.191 2.358 Cr
0.000 4.661 1.179 Cr
3.932 2.469 2.358 Cr
-2.469 3.932 2.358 Cr
3.108 1.553 0.000 Ge
0.000 0.000 1.179 Ge
3.108 -1.553 2.358 Ge
1.553 6.214 0.000 Ge
0.000 0.000 3.537 Ge
1.553 3.108 2.358 Ge
```

Calculated values
The formation energy is 0.02 eV per atom. As for the crystal system: tetragonal.

=====

# 11
A plane-wave DFT calculation with PBE-GGA was carried out for crystalline HfCuGe2 at its relaxed geometry.

Cell and atoms, written as POSCAR:
```
HfCuGe2
1.0
3.796 0.000 0.000
0.000 3.796 0.000
0.000 0.000 9.129
Hf Cu Ge
2 2 4
Cartesian
0.949 0.949 2.166 Hf
2.847 2.847 6.963 Hf
0.949 2.847 4.564 Cu
2.847 0.949 4.564 Cu
0.949 0.949 6.184 Ge
0.949 2.847 0.000 Ge
2.847 0.949 0.000 Ge
2.847 2.847 2.945 Ge
```

Calculated values
The formation energy is -0.41 eV per atom. As for the crystal system: tetragonal.

=====

# 12
A plane-wave DFT calculation with PBE-GGA was carried out for crystalline BaCa3Si10N12O6 at its relaxed geometry.

Cell and atoms, written as POSCAR:
```
BaCa3Si10N12O6
1.0
4.874 0.000 0.000
2.374 6.736 0.000
1.149 3.379 12.048
Ba Ca Si N O
1 3 10 12 6
Cartesian
0.000 0.000 0.000 Ba
3.218 5.674 6.347 Ca
5.720 7.852 6.334 Ca
5.717 3.398 5.840 Ca
2.278 5.162 3.027 Si
3.441 8.511 8.787 Si
2.285 2.542 1.438 Si
3.454 5.922 10.395 Si
4.692 6.760 3.255 Si
3.492 3.398 8.558 Si
4.711 4.239 1.436 Si
5.880 7.613 10.394 Si
4.739 1.618 3.021 Si
5.916 5.023 8.795 Si
1.555 4.119 1.821 N
2.716 7.487 9.971 N
1.546 1.437 2.587 N
2.751 4.850 9.146 N
3.124 5.350 11.919 N
3.949 5.350 2.571 N
5.148 8.678 9.147 N
5.565 8.203 11.917 N
5.166 6.042 9.975 N
4.006 2.656 1.808 N
6.377 6.754 2.794 N
5.200 3.397 8.931 N
3.232 8.002 7.228 O
2.092 4.716 4.577 O
4.461 6.760 4.866 O
3.273 3.394 6.918 O
4.487 2.076 4.562 O
5.714 5.530 7.234 O
```

Calculated values
The formation energy is -1.90 eV per atom. As for the crystal system: triclinic.